RbTeF5 (meta-GGA r2SCAN, relaxed); theoretical density = 4.21 g cm⁻³; formation energy from the elements = -2562 meV/atom
1.0
13.7455 0.0000 0.0000
0.0000 6.2517 0.0000
0.0000 0.0000 11.3181
Rb Te F
8 8 40
direct
0.0962 0.2500 0.0097
0.0970 0.7500 0.3390
0.4030 0.2500 0.8390
0.4038 0.7500 0.5097
0.5962 0.2500 0.4903
0.5970 0.7500 0.1610
0.9030 0.2500 0.6610
0.9038 0.7500 0.9903
0.0796 0.7500 0.7164
0.2395 0.2500 0.5366
0.2605 0.7500 0.0366
0.4204 0.2500 0.2164
0.5796 0.7500 0.7836
0.7395 0.2500 0.9634
0.7605 0.7500 0.4634
0.9204 0.2500 0.2836
0.0263 0.5208 0.8212
0.0263 0.9792 0.8212
0.0541 0.2500 0.3259
0.0793 0.5349 0.5882
0.0793 0.9651 0.5882
0.1221 0.7500 0.0159
0.2204 0.5325 0.1547
0.2204 0.9675 0.1547
0.2444 0.5226 0.9149
0.2444 0.9774 0.9149
0.2556 0.0226 0.4149
0.2556 0.4774 0.4149
0.2796 0.0325 0.6547
0.2796 0.4675 0.6547
0.3779 0.2500 0.5159
0.4207 0.0349 0.0882
0.4207 0.4651 0.0882
0.4459 0.7500 0.8259
0.4737 0.0208 0.3212
0.4737 0.4792 0.3212
0.5263 0.5208 0.6788
0.5263 0.9792 0.6788
0.5541 0.2500 0.1741
0.5793 0.5349 0.9118
0.5793 0.9651 0.9118
0.6221 0.7500 0.4841
0.7204 0.5325 0.3453
0.7204 0.9675 0.3453
0.7444 0.5226 0.5851
0.7444 0.9774 0.5851
0.7556 0.0226 0.0851
0.7556 0.4774 0.0851
0.7796 0.0325 0.8453
0.7796 0.4675 0.8453
0.8779 0.2500 0.9841
0.9207 0.0349 0.4118
0.9207 0.4651 0.4118
0.9459 0.7500 0.6741
0.9737 0.0208 0.1788
0.9737 0.4792 0.1788